# Ca3Lu | Materials Project | PBE | optimized geometry
data_Ca3Lu
_chemical_formula_sum 'Ca3 Lu1'
_cell_length_a 5.362
_cell_length_b 5.362
_cell_length_c 5.362
_cell_angle_alpha 90.00
_cell_angle_beta 90.00
_cell_angle_gamma 90.00
_space_group_name_H-M_alt 'P m -3 m'
_space_group_IT_number 221
_space_group_name_Hall '-P 4 2 3'
loop_
_atom_site_label
_atom_site_type_symbol
_atom_site_fract_x
_atom_site_fract_y
_atom_site_fract_z
Ca1 Ca 0.000 0.000 0.500
Lu1 Lu 0.500 0.500 0.500
# Energy relative to the elements (eV per atom): 0.15


# Na5ZrIn3P6O24 | Materials Project | PBE | optimized geometry
data_Na5ZrIn3P6O24
_chemical_formula_sum 'Na15 Zr3 In9 P18 O72'
_cell_length_a 9.037
_cell_length_b 9.042
_cell_length_c 22.989
_cell_angle_alpha 89.88
_cell_angle_beta 89.91
_cell_angle_gamma 60.06
_space_group_name_H-M_alt 'P 1'
_space_group_IT_number 1
loop_
_space_group_symop_operation_xyz
'x,y,z'
loop_
_atom_site_label
_atom_site_type_symbol
_atom_site_fract_x
_atom_site_fract_y
_atom_site_fract_z
Na1 Na 0.000 0.000 0.000
Na2 Na 0.000 0.355 0.758
Na3 Na 0.007 0.724 0.505
Na4 Na 0.011 0.355 0.259
Na5 Na 0.333 0.331 0.672
Na6 Na 0.334 0.698 0.916
Na7 Na 0.334 0.708 0.421
Na8 Na 0.365 0.364 0.001
Na9 Na 0.636 0.730 0.001
Na10 Na 0.638 0.368 0.505
Na11 Na 0.657 0.032 0.088
Na12 Na 0.669 0.031 0.591
Na13 Na 0.699 0.700 0.673
Na14 Na 0.701 0.331 0.172
Na15 Na 0.966 0.699 0.172
Zr1 Zr 0.332 0.700 0.774
Zr2 Zr 0.333 0.699 0.276
Zr3 Zr 0.661 0.031 0.436
In1 In 0.001 0.365 0.900
In2 In 0.002 0.363 0.402
In3 In 0.003 0.355 0.604
In4 In 0.008 0.358 0.104
In5 In 0.332 0.707 0.572
In6 In 0.334 0.700 0.073
In7 In 0.661 0.031 0.240
In8 In 0.668 0.031 0.930
In9 In 0.674 0.032 0.740
P1 P 0.000 0.660 0.005
P2 P 0.001 0.068 0.502
P3 P 0.037 0.699 0.669
P4 P 0.038 0.993 0.171
P5 P 0.296 0.365 0.505
P6 P 0.297 0.069 0.003
P7 P 0.335 0.403 0.170
P8 P 0.335 0.993 0.671
P9 P 0.368 0.034 0.336
P10 P 0.369 0.329 0.836
P11 P 0.627 0.404 0.669
P12 P 0.630 0.699 0.170
P13 P 0.669 0.732 0.837
P14 P 0.670 0.325 0.336
P15 P 0.705 0.364 0.005
P16 P 0.707 0.657 0.504
P17 P 0.962 0.734 0.336
P18 P 0.965 0.033 0.838
O1 O 0.014 0.175 0.168
O2 O 0.026 0.531 0.667
O3 O 0.030 0.149 0.449
O4 O 0.035 0.542 0.953
O5 O 0.108 0.889 0.114
O6 O 0.110 0.725 0.612
O7 O 0.139 0.722 0.331
O8 O 0.143 0.869 0.830
O9 O 0.153 0.884 0.508
O10 O 0.155 0.896 0.222
O11 O 0.157 0.674 0.720
O12 O 0.162 0.680 0.009
O13 O 0.167 0.398 0.167
O14 O 0.177 0.174 0.668
O15 O 0.179 0.400 0.452
O16 O 0.180 0.149 0.951
O17 O 0.191 0.348 0.841
O18 O 0.192 0.190 0.343
O19 O 0.224 0.180 0.058
O20 O 0.226 0.333 0.562
O21 O 0.310 0.524 0.222
O22 O 0.313 0.900 0.724
O23 O 0.316 0.888 0.009
O24 O 0.318 0.526 0.509
O25 O 0.354 0.507 0.829
O26 O 0.358 0.868 0.331
O27 O 0.368 0.474 0.113
O28 O 0.372 0.884 0.616
O29 O 0.447 0.061 0.281
O30 O 0.451 0.222 0.781
O31 O 0.473 0.258 0.893
O32 O 0.478 0.048 0.997
O33 O 0.479 0.209 0.496
O34 O 0.485 0.007 0.390
O35 O 0.498 0.011 0.677
O36 O 0.500 0.228 0.176
O37 O 0.504 0.503 0.331
O38 O 0.505 0.717 0.830
O39 O 0.523 0.476 0.612
O40 O 0.524 0.526 0.009
O41 O 0.529 0.672 0.509
O42 O 0.531 0.725 0.112
O43 O 0.532 0.523 0.721
O44 O 0.534 0.674 0.221
O45 O 0.636 0.836 0.894
O46 O 0.638 0.228 0.676
O47 O 0.644 0.237 0.390
O48 O 0.659 0.852 0.176
O49 O 0.686 0.203 0.998
O50 O 0.692 0.814 0.781
O51 O 0.694 0.223 0.280
O52 O 0.694 0.835 0.496
O53 O 0.789 0.399 0.953
O54 O 0.789 0.542 0.452
O55 O 0.801 0.398 0.666
O56 O 0.807 0.531 0.167
O57 O 0.811 0.330 0.061
O58 O 0.815 0.588 0.561
O59 O 0.826 0.347 0.342
O60 O 0.828 0.554 0.841
O61 O 0.836 0.050 0.495
O62 O 0.839 0.840 0.998
O63 O 0.854 0.059 0.785
O64 O 0.855 0.852 0.675
O65 O 0.858 0.009 0.176
O66 O 0.860 0.812 0.280
O67 O 0.873 0.847 0.390
O68 O 0.897 0.998 0.896
O69 O 0.958 0.181 0.557
O70 O 0.966 0.588 0.061
O71 O 0.983 0.556 0.343
O72 O 0.985 0.191 0.842
# E (MP2020) (eV/cell): -835.90
# Energy relative to the elements (eV per atom): -2.67


Number 2 is which compound?
Na5ZrIn3P6O24


What is the energy relative to the elements in the second record?
-2.67 eV per atom